Density functional theory data (GGA+U) for an optimized crystal structure of LiVP4H4O14.

Cell lengths 5.231, 7.188, 8.077 Å; angles 81.72, 81.16, 69.44 degrees
Sites, in units of the cell vectors:
Li1 0.000 0.000 0.000
V1 0.000 0.500 0.000
P1 0.319 0.220 0.309
P2 0.377 0.626 0.227
P3 0.623 0.374 0.773
P4 0.681 0.780 0.691
H1 0.104 0.797 0.433
H2 0.308 0.021 0.628
H3 0.692 0.979 0.372
H4 0.896 0.203 0.567
O1 0.167 0.254 0.155
O2 0.182 0.686 0.090
O3 0.183 0.157 0.476
O4 0.286 0.782 0.358
O5 0.324 0.405 0.832
O6 0.351 0.428 0.337
O7 0.381 0.928 0.732
O8 0.619 0.072 0.268
O9 0.649 0.572 0.663
O10 0.676 0.595 0.168
O11 0.714 0.218 0.642
O12 0.817 0.843 0.524
O13 0.818 0.314 0.910
O14 0.833 0.746 0.845

Results
Calculated density = 2.4 g/cm3
V = 11.7 Å³ per atom
Total energy = -6.66 eV/atom
Distance to the lowest polymorph of the same formula = 0.00 kJ/mol of atoms
Calculated formation energy = -2324 meV per atom